Entry 1:
A plane-wave DFT calculation with PBE-GGA was carried out for SnN4F8 after structural relaxation.

- total moment (μB per atom) = 0.308
- ΔH_f (0 K) (eV per formula unit) = -11.95
- space-group type = Pccn, No. 56

a = 6.0341 Å, b = 10.6454 Å, c = 14.8439 Å
α = 90.00°, β = 90.00°, γ = 90.00°
Element x y z (fractional)
Sn 0.7500 0.1260 0.7500
Sn 0.2500 0.3740 0.2500
Sn 0.7500 0.6260 0.7500
Sn 0.2500 0.8740 0.2500
N 0.2779 0.8151 0.9290
N 0.7221 0.6849 0.4290
N 0.7075 0.5913 0.0885
N 0.7779 0.1849 0.4290
N 0.7221 0.1849 0.0710
N 0.7075 0.0913 0.4115
N 0.2075 0.4087 0.5885
N 0.2221 0.8151 0.5710
N 0.2925 0.4087 0.9115
N 0.2075 0.9087 0.9115
N 0.7779 0.6849 0.0710
N 0.7925 0.0913 0.0885
N 0.2925 0.9087 0.5885
N 0.2221 0.3151 0.9290
N 0.2779 0.3151 0.5710
N 0.7925 0.5913 0.4115
F 0.5116 0.9970 0.7719
F 0.2462 0.1509 0.9856
F 0.5158 0.7554 0.7267
F 0.2462 0.6509 0.5144
F 0.1801 0.8762 0.1178
F 0.2538 0.6509 0.9856
F 0.7538 0.3491 0.4856
F 0.2538 0.1509 0.5144
F 0.8199 0.1238 0.8822
F 0.0116 0.5030 0.2281
F 0.7462 0.8491 0.4856
F 0.8199 0.6238 0.6178
F 0.0116 0.0030 0.2719
F 0.0158 0.7446 0.2733
F 0.5116 0.4970 0.7281
F 0.3199 0.8762 0.3822
F 0.4842 0.7446 0.2267
F 0.7462 0.3491 0.0144
F 0.0158 0.2446 0.2267
F 0.1801 0.3762 0.3822
F 0.7538 0.8491 0.0144
F 0.4842 0.2446 0.2733
F 0.9884 0.4970 0.7719
F 0.4884 0.5030 0.2719
F 0.4884 0.0030 0.2281
F 0.5158 0.2554 0.7733
F 0.9884 0.9970 0.7281
F 0.6801 0.6238 0.8822
F 0.3199 0.3762 0.1178
F 0.9842 0.2554 0.7267
F 0.9842 0.7554 0.7733
F 0.6801 0.1238 0.6178

Entry 2:
A plane-wave DFT calculation with PBE-GGA was carried out for Cs2TbO3 after structural relaxation.

- total moment (μB per atom) = 0.167
- ΔH_f (0 K) (eV per formula unit) = -13.72
- space-group type = Cmc2_1, No. 36

a = 7.0196 Å, b = 7.0196 Å, c = 6.4811 Å
α = 90.00°, β = 90.00°, γ = 112.66°
Element x y z (fractional)
O 0.3600 0.3600 0.0939
O 0.8997 0.1405 0.7595
O 0.6400 0.6400 0.5939
O 0.1003 0.8595 0.2595
O 0.1405 0.8997 0.7595
O 0.8595 0.1003 0.2595
Tb 0.0920 0.0920 0.0242
Tb 0.9080 0.9080 0.5242
Cs 0.8069 0.4797 0.9950
Cs 0.1931 0.5203 0.4950
Cs 0.4797 0.8069 0.9950
Cs 0.5203 0.1931 0.4950

Entry 3:
A plane-wave DFT calculation with PBE-GGA was carried out for Rb2HgSbCl6 after structural relaxation.

- total moment (μB per atom) = 0.001
- ΔH_f (0 K) (eV per formula unit) = -15.61
- space-group type = Fm-3m, No. 225

a = 7.8330 Å, b = 7.8330 Å, c = 7.8330 Å
α = 60.00°, β = 60.00°, γ = 60.00°
Element x y z (fractional)
Cl 0.7613 0.2387 0.7613
Cl 0.7613 0.2387 0.2387
Cl 0.2387 0.7613 0.2387
Cl 0.2387 0.2387 0.7613
Cl 0.7613 0.7613 0.2387
Cl 0.2387 0.7613 0.7613
Sb 0.0000 0.0000 0.0000
Hg 0.5000 0.5000 0.5000
Rb 0.2500 0.2500 0.2500
Rb 0.7500 0.7500 0.7500

Entry 4:
A plane-wave DFT calculation with PBE-GGA was carried out for AlCu3 after structural relaxation.

- ΔH_f (0 K) (eV per formula unit) = -0.66
- space-group type = Fm-3m, No. 225

a = 4.1273 Å, b = 4.1273 Å, c = 4.1273 Å
α = 60.00°, β = 60.00°, γ = 60.00°
Element x y z (fractional)
Cu 0.2500 0.2500 0.2500
Cu 0.7500 0.7500 0.7500
Cu 0.5000 0.5000 0.5000
Al 0.0000 0.0000 0.0000

Entry 5:
A plane-wave DFT calculation with PBE-GGA was carried out for Na5Hf2Ti2Si3P3O24 after structural relaxation.

- total moment (μB per atom) = 0.000
- ΔH_f (0 K) (eV per formula unit) = -121.40
- space-group type = P1, No. 1

a = 8.9365 Å, b = 8.9203 Å, c = 22.4599 Å
α = 90.10°, β = 89.86°, γ = 119.89°
Element x y z (fractional)
Na 0.3683 0.0024 0.7485
Na 0.9661 0.3028 0.4166
Na 0.2980 0.9711 0.0821
Na 0.6666 0.3273 0.8302
Na 0.9745 0.6698 0.9192
Na 0.3497 0.6598 0.1675
Na 0.6622 0.3329 0.3361
Na 0.3332 0.6439 0.6640
Na 0.6634 0.9653 0.5846
Na 0.0306 0.3366 0.0872
Na 0.3366 0.0339 0.4168
Na 0.0016 0.6291 0.2499
Na 0.9953 0.9977 0.0007
Na 0.0020 0.9983 0.5002
Na 0.0340 0.7019 0.5826
O 0.1356 0.4907 0.8629
O 0.5013 0.1335 0.6408
O 0.1957 0.0178 0.3087
O 0.2097 0.1751 0.8024
O 0.8513 0.4914 0.4267
O 0.5373 0.6994 0.2545
O 0.8079 0.8276 0.9107
O 0.1731 0.1910 0.6922
O 0.8087 0.9815 0.6878
O 0.1593 0.6920 0.7526
O 0.9841 0.1692 0.3106
O 0.3069 0.8454 0.9745
O 0.5078 0.1520 0.9186
O 0.7009 0.5284 0.5273
O 0.7033 0.1589 0.0295
O 0.8422 0.2988 0.5264
O 0.0333 0.8473 0.4101
O 0.8254 0.0292 0.8047
O 0.4940 0.6458 0.5768
O 0.8215 0.9838 0.4106
O 0.0221 0.1935 0.9117
O 0.4955 0.3536 0.4245
O 0.4660 0.1609 0.2479
O 0.5391 0.6872 0.9714
O 0.7033 0.5396 0.2470
O 0.3424 0.4974 0.0795
O 0.1694 0.4788 0.2526
O 0.1749 0.9762 0.1946
O 0.1774 0.1584 0.0926
O 0.1780 0.0159 0.5900
O 0.9708 0.1678 0.5892
O 0.8726 0.5026 0.1415
O 0.1474 0.4570 0.9743
O 0.8319 0.3117 0.2497
O 0.5350 0.8396 0.4773
O 0.3049 0.4700 0.4723
O 0.8080 0.8263 0.1940
O 0.6511 0.5077 0.9201
O 0.1501 0.6523 0.0792
O 0.9740 0.7908 0.8050
O 0.1338 0.4990 0.5769
O 0.8288 0.8052 0.3065
O 0.1689 0.6984 0.4751
O 0.8355 0.8115 0.5903
O 0.6836 0.1752 0.7406
O 0.1211 0.6259 0.3589
O 0.8348 0.0266 0.0909
O 0.1723 0.1975 0.4128
O 0.5149 0.6425 0.8600
O 0.0165 0.1876 0.1908
O 0.1573 0.9720 0.9111
O 0.3560 0.8535 0.5768
O 0.4715 0.1643 0.5237
O 0.8660 0.3656 0.9210
O 0.4893 0.3582 0.1434
O 0.6356 0.1240 0.1388
O 0.0252 0.8251 0.6932
O 0.4693 0.3021 0.7408
O 0.8317 0.5238 0.7416
O 0.4561 0.2894 0.0288
O 0.4989 0.8706 0.3622
O 0.5072 0.8648 0.0774
O 0.5167 0.8342 0.7499
O 0.9843 0.8257 0.0927
O 0.3528 0.8649 0.8559
O 0.8456 0.5409 0.0240
O 0.2982 0.8347 0.2547
O 0.3632 0.4854 0.3621
O 0.6400 0.4975 0.6416
O 0.6464 0.1511 0.4247
O 0.8651 0.3623 0.6369
O 0.3044 0.4654 0.7522
P 0.9561 0.3338 0.5827
P 0.6708 0.0418 0.0846
P 0.0426 0.3756 0.9167
P 0.2895 0.2867 0.7461
P 0.9918 0.7044 0.7479
P 0.7170 0.7196 0.2501
P 0.2840 0.0018 0.2520
P 0.3367 0.3792 0.4190
P 0.6266 0.6670 0.9154
Si 0.7108 0.0070 0.7462
Si 0.3748 0.0483 0.5826
Si 0.9557 0.6311 0.0841
Si 0.3711 0.3326 0.0862
Si 0.6272 0.9598 0.4180
Si 0.3357 0.9634 0.9150
Si 0.6605 0.6190 0.5844
Si 0.0390 0.6673 0.4181
Si 0.0002 0.2842 0.2510
Hf 0.6564 0.3287 0.9803
Hf 0.9989 0.0067 0.8516
Hf 0.3391 0.6691 0.8102
Hf 0.3355 0.6677 0.0198
Hf 0.6649 0.3318 0.1893
Hf 0.3358 0.6648 0.3136
Ti 0.6668 0.3414 0.4817
Ti 0.6644 0.3328 0.6840
Ti 0.9971 0.9995 0.6459
Ti 0.3430 0.6766 0.5190
Ti 0.9872 0.9942 0.3549
Ti 0.0020 0.0028 0.1474

Entry 6:
A plane-wave DFT calculation with PBE-GGA was carried out for HoAgSe2 after structural relaxation.

- total moment (μB per atom) = 0.000
- ΔH_f (0 K) (eV per formula unit) = -5.60
- space-group type = Ima2, No. 46

a = 7.2718 Å, b = 7.2718 Å, c = 7.2718 Å
α = 133.81°, β = 133.78°, γ = 67.40°
Element x y z (fractional)
Ho 0.1320 0.6248 0.0072
Ho 0.3824 0.3752 0.5072
Se 0.3608 0.8617 0.9991
Se 0.1375 0.1383 0.4991
Se 0.8946 0.3887 0.0058
Se 0.6171 0.6113 0.5058
Ag 0.6297 0.1255 0.0042
Ag 0.8787 0.8745 0.5042

Number 5 is which compound?
Na5Hf2Ti2Si3P3O24

What is the ΔH_f (0 K) in the fourth record?
-0.66 eV per formula unit